# r²SCAN Sm2Ga5Cu3, optimized geometry
data_Sm2Ga5Cu3
_cell_length_a 4.147
_cell_length_b 4.147
_cell_length_c 10.267
_cell_angle_alpha 90.00
_cell_angle_beta 90.00
_cell_angle_gamma 90.00
_space_group_name_H-M_alt 'P -4 m 2'
_space_group_IT_number 115
loop_
_space_group_symop_operation_xyz
'x,y,z'
'y,-x,-z'
'-x,-y,z'
'-y,x,-z'
'-x,y,z'
'-y,-x,-z'
'x,-y,z'
'y,x,-z'
loop_
_atom_site_label
_atom_site_type_symbol
_atom_site_fract_x
_atom_site_fract_y
_atom_site_fract_z
_atom_site_occupancy
Sm1 Sm 0.000 0.500 0.243 1
Ga1 Ga 0.000 0.000 0.500 1
Ga2 Ga 0.000 0.500 0.638 1
Ga3 Ga 0.000 0.500 0.879 1
Cu1 Cu 0.000 0.000 0.000 1
Cu2 Cu 0.500 0.500 0.000 1
Cu3 Cu 0.500 0.500 0.500 1
# energy of formation = -533.5 meV per atom